Below is crystalline Mg2B2O5 at its relaxed geometry, with properties calculated at the meta-GGA r2SCAN level.

Output
energy of formation = -2.8639 eV per atom
symmetry = P2_1/c, No. 14
excess energy over the best structure of this formula in the dataset = 2.1 meV per atom

a b c (Å): 9.2010 3.1021 12.3837
angles (deg): 90.00 104.81 90.00
Element x y z (fractional)
1 Mg 0.1029 0.2439 0.4376
2 Mg 0.1029 0.2561 0.9376
3 Mg 0.3521 0.7283 0.8543
4 Mg 0.3521 0.7717 0.3543
5 Mg 0.6479 0.2283 0.6457
6 Mg 0.6479 0.2717 0.1457
7 Mg 0.8971 0.7439 0.0624
8 Mg 0.8971 0.7561 0.5624
9 B 0.1677 0.1660 0.1901
10 B 0.1677 0.3340 0.6901
11 B 0.3574 0.6873 0.5909
12 B 0.3574 0.8127 0.0909
13 B 0.6426 0.1873 0.9091
14 B 0.6426 0.3127 0.4091
15 B 0.8323 0.6660 0.3099
16 B 0.8323 0.8340 0.8099
17 O 0.0545 0.2479 0.0977
18 O 0.0545 0.2521 0.5977
19 O 0.1776 0.2283 0.7978
20 O 0.1776 0.2717 0.2978
21 O 0.2591 0.7473 0.4887
22 O 0.2591 0.7527 0.9887
23 O 0.2975 0.5677 0.6812
24 O 0.2975 0.9323 0.1812
25 O 0.4930 0.2297 0.8872
26 O 0.4930 0.2703 0.3872
27 O 0.5070 0.7297 0.6128
28 O 0.5070 0.7703 0.1128
29 O 0.7025 0.0677 0.8188
30 O 0.7025 0.4323 0.3188
31 O 0.7409 0.2473 0.0113
32 O 0.7409 0.2527 0.5113
33 O 0.8224 0.7283 0.7022
34 O 0.8224 0.7717 0.2022
35 O 0.9455 0.7479 0.4023
36 O 0.9455 0.7521 0.9023

Below is crystalline Nb8PtSe20 at its relaxed geometry, with properties calculated at the meta-GGA r2SCAN level.

Output
energy of formation = -0.8734 eV per atom
symmetry = C2/m, No. 12

a b c (Å): 10.5895 10.5895 19.7167
angles (deg): 105.29 105.29 18.96
Element x y z (fractional)
1 Nb 0.0789 0.0789 0.4070
2 Nb 0.1550 0.1550 0.9444
3 Nb 0.2678 0.2678 0.2195
4 Nb 0.3297 0.3297 0.6898
5 Nb 0.6703 0.6703 0.3102
6 Nb 0.7322 0.7322 0.7805
7 Nb 0.8450 0.8450 0.0556
8 Nb 0.9211 0.9211 0.5930
9 Pt 0.5000 0.5000 0.5000
10 Se 0.0730 0.0730 0.2723
11 Se 0.1446 0.1446 0.8038
12 Se 0.2024 0.2024 0.6772
13 Se 0.2046 0.2046 0.4122
14 Se 0.2543 0.2543 0.0715
15 Se 0.3295 0.3295 0.8225
16 Se 0.3812 0.3812 0.4916
17 Se 0.4000 0.4000 0.9844
18 Se 0.4422 0.4422 0.1073
19 Se 0.4823 0.4823 0.3713
20 Se 0.5177 0.5177 0.6287
21 Se 0.5578 0.5578 0.8927
22 Se 0.6000 0.6000 0.0156
23 Se 0.6188 0.6188 0.5084
24 Se 0.6705 0.6705 0.1775
25 Se 0.7457 0.7457 0.9285
26 Se 0.7954 0.7954 0.5878
27 Se 0.7976 0.7976 0.3228
28 Se 0.8554 0.8554 0.1962
29 Se 0.9270 0.9270 0.7277

Below is crystalline HfMnGe at its relaxed geometry, with properties calculated at the meta-GGA r2SCAN level.

Output
energy of formation = -0.6840 eV per atom
symmetry = P-62m, No. 189

a b c (Å): 6.7438 6.7438 3.7691
angles (deg): 90.00 90.00 120.00
Element x y z (fractional)
1 Hf 0.0000 0.4126 0.0000
2 Hf 0.4126 0.0000 0.0000
3 Hf 0.5874 0.5874 0.0000
4 Mn 0.0000 0.7521 0.5000
5 Mn 0.2479 0.2479 0.5000
6 Mn 0.7521 0.0000 0.5000
7 Ge 0.0000 0.0000 0.0000
8 Ge 0.3333 0.6667 0.5000
9 Ge 0.6667 0.3333 0.5000

Below is crystalline Li2VF6 at its relaxed geometry, with properties calculated at the meta-GGA r2SCAN level.

Output
energy of formation = -3.1580 eV per atom
symmetry = Pna2_1, No. 33
excess energy over the best structure of this formula in the dataset = 24.7 meV per atom

a b c (Å): 9.3186 8.4527 4.9183
angles (deg): 90.00 90.00 90.00
Element x y z (fractional)
1 Li 0.1038 0.1156 0.0000
2 Li 0.1052 0.5529 0.4821
3 Li 0.3948 0.0529 0.9821
4 Li 0.3962 0.6156 0.5000
5 Li 0.6038 0.3844 0.0000
6 Li 0.6052 0.9471 0.4821
7 Li 0.8948 0.4471 0.9821
8 Li 0.8962 0.8844 0.5000
9 V 0.1346 0.7561 0.9873
10 V 0.3654 0.2561 0.4873
11 V 0.6346 0.7439 0.9873
12 V 0.8654 0.2439 0.4873
13 F 0.0171 0.7464 0.2981
14 F 0.0173 0.9046 0.8267
15 F 0.0226 0.5938 0.8278
16 F 0.2365 0.9299 0.1136
17 F 0.2428 0.6149 0.1774
18 F 0.2477 0.7431 0.6827
19 F 0.2523 0.2431 0.1827
20 F 0.2572 0.1149 0.6774
21 F 0.2635 0.4299 0.6136
22 F 0.4774 0.0938 0.3278
23 F 0.4829 0.2464 0.7981
24 F 0.4827 0.4046 0.3267
25 F 0.5173 0.5954 0.8267
26 F 0.5171 0.7536 0.2981
27 F 0.5226 0.9062 0.8278
28 F 0.7365 0.5701 0.1136
29 F 0.7428 0.8851 0.1774
30 F 0.7477 0.7569 0.6827
31 F 0.7523 0.2569 0.1827
32 F 0.7572 0.3851 0.6774
33 F 0.7635 0.0701 0.6136
34 F 0.9774 0.4062 0.3278
35 F 0.9827 0.0954 0.3267
36 F 0.9829 0.2536 0.7981